Entry 1:
Mn3Fe: optimized geometry, PBE.

```
Mn3Fe
1.0
2.536 0.000 0.000
0.000 3.513 0.000
0.000 0.000 5.060
Mn Fe
3 1
direct
0.000 0.000 0.000 Mn
0.500 0.500 0.253 Mn
0.500 0.500 0.747 Mn
0.000 0.000 0.500 Fe
```

E_form, meV/atom: 118.9

=====

Entry 2:
Mn5FeN4: optimized geometry, PBE.

```
Mn5FeN4
1.0
6.083 0.000 0.000
0.000 6.629 0.000
0.000 0.000 4.700
Mn Fe N
10 2 8
direct
0.023 0.057 0.250 Mn
0.023 0.443 0.250 Mn
0.250 0.250 0.717 Mn
0.477 0.057 0.250 Mn
0.477 0.443 0.250 Mn
0.523 0.557 0.750 Mn
0.523 0.943 0.750 Mn
0.750 0.750 0.283 Mn
0.977 0.557 0.750 Mn
0.977 0.943 0.750 Mn
0.250 0.750 0.149 Fe
0.750 0.250 0.851 Fe
0.033 0.750 0.450 N
0.250 0.002 0.959 N
0.250 0.498 0.959 N
0.467 0.750 0.450 N
0.533 0.250 0.550 N
0.750 0.502 0.041 N
0.750 0.998 0.041 N
0.967 0.250 0.550 N
```

Total magnetic moment, μB per cell: 13.58
E_form, meV/atom: -262.0

=====

Entry 3:
Mn8Fe3N8: optimized geometry, PBE.

```
Mn8Fe3N8
1.0
7.189 -2.016 0.000
7.189 2.016 0.000
-1.759 0.000 6.147
Mn Fe N
8 3 8
direct
0.044 0.044 0.222 Mn
0.141 0.141 0.691 Mn
0.319 0.319 0.582 Mn
0.402 0.402 0.035 Mn
0.598 0.598 0.965 Mn
0.681 0.681 0.418 Mn
0.859 0.859 0.309 Mn
0.956 0.956 0.778 Mn
0.227 0.227 0.145 Fe
0.500 0.500 0.500 Fe
0.773 0.773 0.855 Fe
0.095 0.095 0.958 N
0.180 0.180 0.415 N
0.363 0.363 0.313 N
0.456 0.456 0.770 N
0.544 0.544 0.230 N
0.637 0.637 0.687 N
0.820 0.820 0.585 N
0.905 0.905 0.042 N
```

Total magnetic moment, μB per cell: 26.60
E_form, meV/atom: -318.2

=====

Entry 4:
Mn3FeN3: optimized geometry, PBE.

```
Mn3FeN3
1.0
6.608 0.000 0.000
0.000 3.947 0.000
-3.297 0.000 5.741
Mn Fe N
6 2 6
direct
0.156 0.250 0.329 Mn
0.327 0.750 0.156 Mn
0.329 0.750 0.673 Mn
0.671 0.250 0.327 Mn
0.673 0.250 0.844 Mn
0.844 0.750 0.671 Mn
0.167 0.250 0.833 Fe
0.833 0.750 0.167 Fe
0.152 0.750 0.328 N
0.325 0.250 0.152 N
0.327 0.250 0.674 N
0.673 0.750 0.326 N
0.675 0.750 0.848 N
0.848 0.250 0.672 N
```

Total magnetic moment, μB per cell: 13.72
E_form, meV/atom: -334.6

=====

Entry 5:
Mn3Fe8N8: optimized geometry, PBE.

```
Mn3Fe8N8
1.0
7.333 -1.846 0.000
7.333 1.846 0.000
-4.855 0.000 7.088
Mn Fe N
3 8 8
direct
0.000 0.000 0.000 Mn
0.292 0.292 0.250 Mn
0.708 0.708 0.750 Mn
0.057 0.057 0.675 Fe
0.174 0.174 0.517 Fe
0.354 0.354 0.965 Fe
0.444 0.444 0.704 Fe
0.556 0.556 0.296 Fe
0.646 0.646 0.035 Fe
0.826 0.826 0.483 Fe
0.943 0.943 0.325 Fe
0.056 0.056 0.263 N
0.152 0.152 0.062 N
0.294 0.294 0.462 N
0.404 0.404 0.220 N
0.596 0.596 0.780 N
0.706 0.706 0.538 N
0.848 0.848 0.938 N
0.944 0.944 0.737 N
```

Total magnetic moment, μB per cell: 14.28
E_form, meV/atom: -101.0

=====

Entry 6:
Mn3Fe3N5: optimized geometry, PBE.

```
Mn3Fe3N5
1.0
5.464 0.000 0.000
-0.948 5.869 0.000
-1.449 -3.140 6.704
Mn Fe N
6 6 10
direct
0.083 0.377 0.356 Mn
0.212 0.053 0.711 Mn
0.326 0.913 0.100 Mn
0.674 0.087 0.900 Mn
0.788 0.947 0.289 Mn
0.917 0.623 0.644 Mn
0.217 0.445 0.042 Fe
0.373 0.582 0.773 Fe
0.469 0.228 0.482 Fe
0.531 0.772 0.518 Fe
0.627 0.418 0.227 Fe
0.783 0.555 0.958 Fe
0.088 0.623 0.891 N
0.151 0.058 0.299 N
0.228 0.704 0.579 N
0.353 0.162 0.000 N
0.494 0.697 0.255 N
0.506 0.303 0.745 N
0.647 0.838 0.000 N
0.772 0.296 0.421 N
0.849 0.942 0.701 N
0.912 0.377 0.109 N
```

Total magnetic moment, μB per cell: 6.38
E_form, meV/atom: -238.9

=====

Entry 7:
Mn2Fe9N8: optimized geometry, PBE.

```
Mn2Fe9N8
1.0
8.581 -1.896 0.000
8.581 1.896 0.000
-2.028 0.000 5.675
Mn Fe N
2 9 8
direct
0.178 0.178 0.141 Mn
0.822 0.822 0.859 Mn
0.015 0.015 0.783 Fe
0.203 0.203 0.594 Fe
0.350 0.350 0.190 Fe
0.420 0.420 0.824 Fe
0.500 0.500 0.500 Fe
0.580 0.580 0.176 Fe
0.650 0.650 0.810 Fe
0.797 0.797 0.406 Fe
0.985 0.985 0.217 Fe
0.105 0.105 0.298 N
0.141 0.141 0.815 N
0.277 0.277 0.374 N
0.464 0.464 0.175 N
0.536 0.536 0.825 N
0.723 0.723 0.626 N
0.859 0.859 0.185 N
0.895 0.895 0.702 N
```

Total magnetic moment, μB per cell: 12.10
E_form, meV/atom: -30.3

=====

Entry 8:
Mn3FeP4: optimized geometry, PBE.

```
Mn3FeP4
1.0
5.162 0.000 0.000
0.000 3.133 0.000
0.000 0.000 5.811
Mn Fe P
3 1 4
direct
0.000 0.000 0.000 Mn
0.010 0.500 0.607 Mn
0.500 0.000 0.099 Mn
0.509 0.500 0.495 Fe
0.189 0.500 0.235 P
0.316 0.000 0.727 P
0.690 0.500 0.866 P
0.814 0.000 0.375 P
```

E_form, meV/atom: -601.4